# Na3InSb2 PBE-GGA relaxed
data_Na3InSb2
_space_group_name_H-M_alt 'P 1'
_space_group_IT_number 1
_cell_length_a 8.0385
_cell_length_b 10.4619
_cell_length_c 16.8373
_cell_angle_alpha 87.20
_cell_angle_beta 90.00
_cell_angle_gamma 90.00
loop_
_space_group_symop_operation_xyz
'x,y,z'
loop_
_atom_site_label
_atom_site_fract_x
_atom_site_fract_y
_atom_site_fract_z
Na1 0.8449 0.1282 0.2980
Na2 0.3449 0.8718 0.2020
Na3 0.1551 0.8718 0.7020
Na4 0.6551 0.1282 0.7980
Na5 0.5097 0.4384 0.8935
Na6 0.0097 0.5616 0.6065
Na7 0.4903 0.5616 0.1065
Na8 0.9903 0.4384 0.3935
Na9 0.0297 0.8121 0.3526
Na10 0.5297 0.1879 0.1474
Na11 0.9703 0.1879 0.6474
Na12 0.4703 0.8121 0.8526
Na13 0.1528 0.6167 0.9531
Na14 0.6528 0.3833 0.5469
Na15 0.8472 0.3833 0.0469
Na16 0.3472 0.6167 0.4531
Na17 0.0309 0.0704 0.1080
Na18 0.5309 0.9296 0.3920
Na19 0.9691 0.9296 0.8920
Na20 0.4691 0.0704 0.6080
Na21 0.9877 0.6773 0.1377
Na22 0.4877 0.3227 0.3623
Na23 0.0123 0.3227 0.8623
Na24 0.5123 0.6773 0.6377
In1 0.1489 0.3606 0.2086
In2 0.6489 0.6394 0.2914
In3 0.8511 0.6394 0.7914
In4 0.3511 0.3606 0.7086
In5 0.1376 0.1258 0.4578
In6 0.6376 0.8742 0.0422
In7 0.8624 0.8742 0.5422
In8 0.3624 0.1258 0.9578
Sb1 0.2386 0.3509 0.0381
Sb2 0.7386 0.6491 0.4619
Sb3 0.7614 0.6491 0.9619
Sb4 0.2614 0.3509 0.5381
Sb5 0.2415 0.1204 0.2912
Sb6 0.7415 0.8796 0.2088
Sb7 0.7585 0.8796 0.7088
Sb8 0.2585 0.1204 0.7912
Sb9 0.2181 0.5934 0.7735
Sb10 0.7181 0.4066 0.7265
Sb11 0.7819 0.4066 0.2265
Sb12 0.2819 0.5934 0.2735
Sb13 0.7285 0.1272 0.9781
Sb14 0.2285 0.8728 0.5219
Sb15 0.2715 0.8728 0.0219
Sb16 0.7715 0.1272 0.4781
# - E_form (meV/atom) = -440
# - calculated total energy (eV per atom) = -2.872



# BaSnN2 PBE-GGA relaxed
data_BaSnN2
_space_group_name_H-M_alt 'P 1'
_space_group_IT_number 1
_cell_length_a 4.1559
_cell_length_b 4.1559
_cell_length_c 8.5791
_cell_angle_alpha 90.00
_cell_angle_beta 90.00
_cell_angle_gamma 90.00
loop_
_space_group_symop_operation_xyz
'x,y,z'
loop_
_atom_site_label
_atom_site_fract_x
_atom_site_fract_y
_atom_site_fract_z
Ba1 0.7500 0.7500 0.1511
Ba2 0.2500 0.2500 0.8489
Sn1 0.7500 0.7500 0.6017
Sn2 0.2500 0.2500 0.3983
N1 0.7500 0.2500 0.5000
N2 0.2500 0.7500 0.5000
N3 0.7500 0.7500 0.8405
N4 0.2500 0.2500 0.1595
# - E_form (meV/atom) = -355
# - calculated total energy (eV per atom) = -5.825



# CuSnPd2 PBE-GGA relaxed
data_CuSnPd2
_space_group_name_H-M_alt 'P 1'
_space_group_IT_number 1
_cell_length_a 3.9420
_cell_length_b 12.3790
_cell_length_c 15.5915
_cell_angle_alpha 90.00
_cell_angle_beta 90.00
_cell_angle_gamma 90.00
loop_
_space_group_symop_operation_xyz
'x,y,z'
loop_
_atom_site_label
_atom_site_fract_x
_atom_site_fract_y
_atom_site_fract_z
Cu1 0.5000 0.5000 0.0000
Cu2 0.5000 0.5000 0.5000
Cu3 0.5000 0.5000 0.2478
Cu4 0.5000 0.5000 0.7522
Cu5 0.5000 0.1611 0.5000
Cu6 0.5000 0.8389 0.5000
Cu7 0.5000 0.0000 0.3760
Cu8 0.5000 0.0000 0.6240
Cu9 0.0000 0.1678 0.1252
Cu10 0.0000 0.8322 0.8748
Cu11 0.0000 0.8322 0.1252
Cu12 0.0000 0.1678 0.8748
Sn1 0.0000 0.0000 0.0000
Sn2 0.0000 0.3284 0.2516
Sn3 0.0000 0.6716 0.7484
Sn4 0.0000 0.6716 0.2516
Sn5 0.0000 0.3284 0.7484
Sn6 0.0000 0.3332 0.0000
Sn7 0.0000 0.6668 0.0000
Sn8 0.0000 0.0000 0.5000
Sn9 0.0000 0.3319 0.5000
Sn10 0.0000 0.6681 0.5000
Sn11 0.0000 0.0000 0.2515
Sn12 0.0000 0.0000 0.7485
Pd1 0.5000 0.1634 0.2488
Pd2 0.5000 0.8366 0.7512
Pd3 0.5000 0.8366 0.2488
Pd4 0.5000 0.1634 0.7512
Pd5 0.0000 0.1598 0.3840
Pd6 0.0000 0.8402 0.6160
Pd7 0.0000 0.8402 0.3840
Pd8 0.0000 0.1598 0.6160
Pd9 0.0000 0.5000 0.3731
Pd10 0.0000 0.5000 0.6269
Pd11 0.0000 0.5000 0.1265
Pd12 0.0000 0.5000 0.8735
Pd13 0.5000 0.3366 0.3768
Pd14 0.5000 0.6634 0.6232
Pd15 0.5000 0.6634 0.3768
Pd16 0.5000 0.3366 0.6232
Pd17 0.5000 0.1645 0.0000
Pd18 0.5000 0.8355 0.0000
Pd19 0.5000 0.3346 0.1238
Pd20 0.5000 0.6654 0.8762
Pd21 0.5000 0.6654 0.1238
Pd22 0.5000 0.3346 0.8762
Pd23 0.5000 0.0000 0.1243
Pd24 0.5000 0.0000 0.8757
# - E_form (meV/atom) = -353
# - calculated total energy (eV per atom) = -4.970



# Na2Ca2SiGe2S5O24 PBE-GGA relaxed
data_Na2Ca2SiGe2S5O24
_space_group_name_H-M_alt 'P 1'
_space_group_IT_number 1
_cell_length_a 8.8684
_cell_length_b 8.8653
_cell_length_c 23.0685
_cell_angle_alpha 89.07
_cell_angle_beta 90.11
_cell_angle_gamma 119.90
loop_
_space_group_symop_operation_xyz
'x,y,z'
loop_
_atom_site_label
_atom_site_fract_x
_atom_site_fract_y
_atom_site_fract_z
Na1 0.0029 0.0027 0.4993
Na2 0.9985 0.9950 0.0035
Na3 0.6659 0.3179 0.8319
Na4 0.6473 0.3214 0.3307
Na5 0.3134 0.6635 0.1690
Na6 0.3320 0.6632 0.6677
Ca1 0.0150 0.0055 0.3419
Ca2 0.0002 0.0036 0.8554
Ca3 0.6670 0.3317 0.6852
Ca4 0.6611 0.3319 0.4837
Ca5 0.3236 0.6657 0.0286
Ca6 0.3338 0.6687 0.5230
Si1 0.3162 0.0038 0.2495
Si2 0.6970 0.9814 0.7501
Si3 0.9416 0.6197 0.0897
Ge1 0.9873 0.9930 0.6544
Ge2 0.0151 0.9654 0.1523
Ge3 0.6696 0.3229 0.1838
Ge4 0.6905 0.3619 0.9851
Ge5 0.3329 0.6865 0.3173
Ge6 0.3450 0.6824 0.8123
S1 0.6973 0.6927 0.2456
S2 0.0003 0.3039 0.2447
S3 0.2835 0.3022 0.7490
S4 0.0148 0.7154 0.7500
S5 0.9703 0.3117 0.5890
S6 0.3388 0.0274 0.5910
S7 0.6885 0.6581 0.5884
S8 0.6881 0.0605 0.0867
S9 0.3741 0.3122 0.0882
S10 0.6155 0.6465 0.9189
S11 0.0305 0.3819 0.9186
S12 0.3543 0.9711 0.9164
S13 0.6224 0.9605 0.4107
S14 0.3376 0.3919 0.4088
S15 0.0390 0.6597 0.4119
O1 0.2597 0.0587 0.3059
O2 0.8000 0.7645 0.2975
O3 0.9625 0.2029 0.2984
O4 0.2107 0.2021 0.8020
O5 0.9970 0.7987 0.8008
O6 0.8056 0.0289 0.8090
O7 0.7951 0.9510 0.6936
O8 0.1736 0.2123 0.6958
O9 0.0428 0.8254 0.6949
O10 0.7870 0.8169 0.1932
O11 0.0302 0.2188 0.1940
O12 0.1762 0.9490 0.1931
O13 0.8821 0.3270 0.6397
O14 0.4488 0.1125 0.6406
O15 0.6697 0.5532 0.6398
O16 0.8281 0.4965 0.1435
O17 0.6545 0.1377 0.1388
O18 0.4785 0.3250 0.1398
O19 0.4469 0.2837 0.0331
O20 0.8296 0.5462 0.0274
O21 0.7109 0.1689 0.0321
O22 0.4102 0.1250 0.5358
O23 0.7059 0.5801 0.5345
O24 0.8749 0.2926 0.5346
O25 0.5271 0.6597 0.9694
O26 0.1331 0.4696 0.9688
O27 0.3389 0.8667 0.9673
O28 0.5336 0.8634 0.4631
O29 0.3332 0.4779 0.4614
O30 0.1362 0.6675 0.4636
O31 0.1321 0.6492 0.3561
O32 0.5161 0.8701 0.3555
O33 0.3522 0.5031 0.3525
O34 0.1019 0.4798 0.8626
O35 0.3731 0.8897 0.8604
O36 0.5184 0.6251 0.8631
O37 0.0235 0.8165 0.4077
O38 0.7922 0.9722 0.4054
O39 0.1776 0.2234 0.4053
O40 0.0025 0.2044 0.9171
O41 0.2009 0.9934 0.9132
O42 0.7942 0.7927 0.9150
O43 0.9793 0.1447 0.5946
O44 0.1663 0.0232 0.5983
O45 0.8593 0.8302 0.5925
O46 0.9511 0.8147 0.0945
O47 0.8525 0.0562 0.0932
O48 0.1933 0.1517 0.0943
O49 0.6689 0.1482 0.7505
O50 0.4615 0.3359 0.7419
O51 0.8655 0.5413 0.7444
O52 0.6750 0.5156 0.2372
O53 0.8426 0.3272 0.2363
O54 0.5107 0.1692 0.2323
O55 0.6246 0.4756 0.9231
O56 0.8499 0.3712 0.9236
O57 0.5179 0.1458 0.9184
O58 0.6342 0.1325 0.4097
O59 0.4951 0.3757 0.4067
O60 0.8679 0.5003 0.4110
O61 0.3590 0.4685 0.0853
O62 0.1306 0.6423 0.0919
O63 0.5363 0.8863 0.0831
O64 0.3038 0.8466 0.5879
O65 0.5449 0.6969 0.5859
O66 0.1507 0.4582 0.5866
O67 0.3333 0.8229 0.2584
O68 0.5215 0.6748 0.2489
O69 0.1553 0.4828 0.2502
O70 0.2847 0.4733 0.7515
O71 0.1798 0.7036 0.7531
O72 0.5065 0.7991 0.7566
# - E_form (meV/atom) = -2199
# - calculated total energy (eV per atom) = -6.207



# Pd2O PBE-GGA relaxed
data_Pd2O
_space_group_name_H-M_alt 'P 1'
_space_group_IT_number 1
_cell_length_a 4.5423
_cell_length_b 4.5423
_cell_length_c 4.5423
_cell_angle_alpha 90.00
_cell_angle_beta 90.00
_cell_angle_gamma 90.00
loop_
_space_group_symop_operation_xyz
'x,y,z'
loop_
_atom_site_label
_atom_site_fract_x
_atom_site_fract_y
_atom_site_fract_z
Pd1 0.2500 0.2500 0.7500
Pd2 0.7500 0.2500 0.2500
Pd3 0.2500 0.7500 0.2500
Pd4 0.7500 0.7500 0.7500
O1 0.0000 0.0000 0.0000
O2 0.5000 0.5000 0.5000
# - E_form (meV/atom) = -388
# - calculated total energy (eV per atom) = -5.261



# VS PBE-GGA relaxed
data_VS
_space_group_name_H-M_alt 'P 1'
_space_group_IT_number 1
_cell_length_a 3.1554
_cell_length_b 3.1554
_cell_length_c 6.4554
_cell_angle_alpha 90.00
_cell_angle_beta 90.00
_cell_angle_gamma 120.00
loop_
_space_group_symop_operation_xyz
'x,y,z'
loop_
_atom_site_label
_atom_site_fract_x
_atom_site_fract_y
_atom_site_fract_z
V1 0.3333 0.6667 0.2500
V2 0.6667 0.3333 0.7500
S1 0.0000 0.0000 0.0000
S2 0.0000 0.0000 0.5000
# - E_form (meV/atom) = -797
# - calculated total energy (eV per atom) = -7.156



# Er6I7 PBE-GGA relaxed
data_Er6I7
_space_group_name_H-M_alt 'P 1'
_space_group_IT_number 1
_cell_length_a 11.2150
_cell_length_b 11.2150
_cell_length_c 12.4717
_cell_angle_alpha 58.24
_cell_angle_beta 58.24
_cell_angle_gamma 20.29
loop_
_space_group_symop_operation_xyz
'x,y,z'
loop_
_atom_site_label
_atom_site_fract_x
_atom_site_fract_y
_atom_site_fract_z
Er1 0.1323 0.1323 0.4468
Er2 0.3123 0.3123 0.3759
Er3 0.7634 0.7634 0.1941
Er4 0.6877 0.6877 0.6241
Er5 0.2366 0.2366 0.8059
Er6 0.8677 0.8677 0.5532
I1 0.6133 0.6133 0.9320
I2 0.1655 0.1655 0.1655
I3 0.8345 0.8345 0.8345
I4 0.3867 0.3867 0.0680
I5 0.0535 0.0535 0.7298
I6 0.5000 0.5000 0.5000
I7 0.9465 0.9465 0.2702
# - E_form (meV/atom) = -1086
# - calculated total energy (eV per atom) = -3.810



# Sr3MgTi2O7 PBE-GGA relaxed
data_Sr3MgTi2O7
_space_group_name_H-M_alt 'P 1'
_space_group_IT_number 1
_cell_length_a 3.9318
_cell_length_b 3.9353
_cell_length_c 12.4407
_cell_angle_alpha 108.10
_cell_angle_beta 90.36
_cell_angle_gamma 90.05
loop_
_space_group_symop_operation_xyz
'x,y,z'
loop_
_atom_site_label
_atom_site_fract_x
_atom_site_fract_y
_atom_site_fract_z
Sr1 0.2044 0.3869 0.5920
Sr2 0.7094 0.3610 0.0699
Sr3 0.7147 0.6570 0.3704
Mg1 0.1952 0.6743 0.8700
Ti1 0.2123 0.0074 0.2189
Ti2 0.6954 0.0636 0.7598
O1 0.6956 0.5814 0.7862
O2 0.7355 0.8596 0.5898
O3 0.2077 0.8285 0.0355
O4 0.7120 0.0059 0.2167
O5 0.2116 0.5057 0.2167
O6 0.2057 0.0916 0.7876
O7 0.2172 0.1771 0.3927
# - energy above the most stable polymorph in this dataset (meV/atom) = 0
# - E_form (meV/atom) = -3129
# - calculated total energy (eV per atom) = -7.151